*a*
Entry from Materials Project: an optimized crystal structure of V4O7F5 (PBE+U).

Computed properties:
magnetization: 1.01 μB/f.u.
ρ: 3.26 g/cm3

a b c (Å): 5.200 5.313 7.582
angles (deg): 88.30 89.58 88.32
Space group P1 (No. 1)
Asymmetric unit:
V1 0.000 0.000 0.000 (multiplicity 1)
V2 0.050 0.989 0.494 (multiplicity 1)
V3 0.477 0.519 0.933 (multiplicity 1)
V4 0.546 0.483 0.431 (multiplicity 1)
O1 0.090 0.007 0.710 (multiplicity 1)
O2 0.228 0.709 0.001 (multiplicity 1)
O3 0.293 0.791 0.432 (multiplicity 1)
O4 0.432 0.508 0.718 (multiplicity 1)
O5 0.598 0.504 0.216 (multiplicity 1)
O6 0.727 0.228 0.496 (multiplicity 1)
O7 0.935 0.008 0.214 (multiplicity 1)
F1 0.223 0.301 0.423 (multiplicity 1)
F2 0.315 0.210 0.004 (multiplicity 1)
F3 0.712 0.799 0.920 (multiplicity 1)
F4 0.795 0.725 0.507 (multiplicity 1)
F5 0.803 0.306 0.924 (multiplicity 1)

***

*b*
Entry from Materials Project: an optimized crystal structure of V4O7F5 (PBE+U).

Computed properties:
magnetization: 0.99 μB/f.u.
ρ: 3.32 g/cm3

a b c (Å): 5.443 5.298 7.134
angles (deg): 90.00 92.21 90.00
Space group P2 (No. 3)
Asymmetric unit:
V1 0.034 0.000 0.254 (multiplicity 2)
V2 0.456 0.516 0.745 (multiplicity 2)
O1 0.000 0.957 0.500 (multiplicity 1)
O2 0.195 0.747 0.203 (multiplicity 2)
O3 0.213 0.335 0.710 (multiplicity 2)
O4 0.500 0.478 0.000 (multiplicity 1)
O5 0.500 0.610 0.500 (multiplicity 1)
F1 0.000 0.142 0.000 (multiplicity 1)
F2 0.294 0.838 0.794 (multiplicity 2)
F3 0.298 0.245 0.293 (multiplicity 2)

***

Here are the energies relative to the best structure, in kJ/mol of atoms: *a* 0.0; *b* 1.8.

***

*a*
Entry from Materials Project: an optimized crystal structure of V6O5F19 (PBE+U).

Computed properties:
ρ: 2.86 g/cm3

a b c (Å): 5.376 5.534 14.859
angles (deg): 79.49 89.61 87.46
Space group P1 (No. 1)
Asymmetric unit:
V1 0.000 0.000 0.000 (multiplicity 1)
V2 0.019 0.265 0.332 (multiplicity 1)
V3 0.420 0.078 0.667 (multiplicity 1)
V4 0.475 0.458 0.006 (multiplicity 1)
V5 0.526 0.804 0.344 (multiplicity 1)
V6 0.930 0.566 0.674 (multiplicity 1)
O1 0.170 0.242 0.980 (multiplicity 1)
O2 0.191 0.916 0.649 (multiplicity 1)
O3 0.251 0.070 0.317 (multiplicity 1)
O4 0.750 0.982 0.361 (multiplicity 1)
O5 0.764 0.328 0.692 (multiplicity 1)
F1 0.019 0.237 0.453 (multiplicity 1)
F2 0.035 0.885 0.118 (multiplicity 1)
F3 0.058 0.572 0.784 (multiplicity 1)
F4 0.166 0.555 0.311 (multiplicity 1)
F5 0.243 0.403 0.644 (multiplicity 1)
F6 0.262 0.762 0.980 (multiplicity 1)
F7 0.365 0.389 0.120 (multiplicity 1)
F8 0.369 0.729 0.450 (multiplicity 1)
F9 0.399 0.089 0.785 (multiplicity 1)
F10 0.521 0.824 0.224 (multiplicity 1)
F11 0.535 0.479 0.887 (multiplicity 1)
F12 0.558 0.159 0.557 (multiplicity 1)
F13 0.674 0.494 0.361 (multiplicity 1)
F14 0.675 0.813 0.698 (multiplicity 1)
F15 0.684 0.145 0.028 (multiplicity 1)
F16 0.748 0.622 0.030 (multiplicity 1)
F17 0.863 0.318 0.225 (multiplicity 1)
F18 0.877 0.971 0.893 (multiplicity 1)
F19 0.891 0.685 0.556 (multiplicity 1)

***

*b*
Entry from Materials Project: an optimized crystal structure of V6O5F19 (PBE+U).

Computed properties:
magnetization: 1.00 μB/f.u.
ρ: 2.84 g/cm3

a b c (Å): 5.397 5.573 14.804
angles (deg): 79.17 89.69 88.37
Space group P1 (No. 1)
Asymmetric unit:
V1 0.000 0.000 0.000 (multiplicity 1)
V2 0.000 0.334 0.333 (multiplicity 1)
V3 0.024 0.591 0.669 (multiplicity 1)
V4 0.495 0.444 0.012 (multiplicity 1)
V5 0.495 0.778 0.345 (multiplicity 1)
V6 0.552 0.125 0.673 (multiplicity 1)
O1 0.267 0.253 0.030 (multiplicity 1)
O2 0.268 0.586 0.362 (multiplicity 1)
O3 0.766 0.200 0.983 (multiplicity 1)
O4 0.768 0.535 0.315 (multiplicity 1)
O5 0.848 0.372 0.650 (multiplicity 1)
F1 0.006 0.250 0.454 (multiplicity 1)
F2 0.007 0.913 0.121 (multiplicity 1)
F3 0.142 0.723 0.560 (multiplicity 1)
F4 0.165 0.054 0.895 (multiplicity 1)
F5 0.167 0.383 0.228 (multiplicity 1)
F6 0.281 0.934 0.696 (multiplicity 1)
F7 0.329 0.409 0.695 (multiplicity 1)
F8 0.351 0.061 0.365 (multiplicity 1)
F9 0.351 0.729 0.031 (multiplicity 1)
F10 0.501 0.229 0.554 (multiplicity 1)
F11 0.503 0.539 0.891 (multiplicity 1)
F12 0.505 0.876 0.224 (multiplicity 1)
F13 0.658 0.087 0.788 (multiplicity 1)
F14 0.662 0.403 0.117 (multiplicity 1)
F15 0.662 0.734 0.450 (multiplicity 1)
F16 0.764 0.851 0.649 (multiplicity 1)
F17 0.858 0.061 0.314 (multiplicity 1)
F18 0.858 0.728 0.980 (multiplicity 1)
F19 0.991 0.595 0.788 (multiplicity 1)

***

*c*
Entry from Materials Project: an optimized crystal structure of V6O5F19 (PBE+U).

Computed properties:
magnetization: 1.00 μB/f.u.
ρ: 2.91 g/cm3

a b c (Å): 5.302 5.480 14.910
angles (deg): 79.59 89.74 88.71
Space group P1 (No. 1)
Asymmetric unit:
V1 0.000 0.000 0.000 (multiplicity 1)
V2 0.019 0.405 0.334 (multiplicity 1)
V3 0.081 0.726 0.674 (multiplicity 1)
V4 0.510 0.487 0.008 (multiplicity 1)
V5 0.534 0.877 0.338 (multiplicity 1)
V6 0.571 0.239 0.667 (multiplicity 1)
O1 0.318 0.892 0.692 (multiplicity 1)
O2 0.339 0.242 0.027 (multiplicity 1)
O3 0.744 0.483 0.648 (multiplicity 1)
O4 0.763 0.835 0.981 (multiplicity 1)
O5 0.841 0.660 0.315 (multiplicity 1)
F1 0.109 0.721 0.556 (multiplicity 1)
F2 0.136 0.081 0.890 (multiplicity 1)
F3 0.139 0.395 0.224 (multiplicity 1)
F4 0.240 0.050 0.361 (multiplicity 1)
F5 0.253 0.731 0.029 (multiplicity 1)
F6 0.256 0.400 0.696 (multiplicity 1)
F7 0.327 0.556 0.364 (multiplicity 1)
F8 0.449 0.233 0.557 (multiplicity 1)
F9 0.466 0.889 0.221 (multiplicity 1)
F10 0.469 0.593 0.889 (multiplicity 1)
F11 0.614 0.130 0.785 (multiplicity 1)
F12 0.634 0.820 0.453 (multiplicity 1)
F13 0.637 0.493 0.117 (multiplicity 1)
F14 0.742 0.180 0.311 (multiplicity 1)
F15 0.827 0.325 0.979 (multiplicity 1)
F16 0.829 0.993 0.645 (multiplicity 1)
F17 0.947 0.644 0.784 (multiplicity 1)
F18 0.960 0.298 0.451 (multiplicity 1)
F19 0.975 0.001 0.119 (multiplicity 1)

***

Here are the energies relative to the best structure, in kJ/mol of atoms: *a* 0.6; *b* 0.0; *c* 1.5.

***

*a*
Entry from Materials Project: an optimized crystal structure of V6O5F19 (PBE+U).

Computed properties:
magnetization: 1.02 μB/f.u.
ρ: 2.94 g/cm3

a b c (Å): 5.321 5.463 14.735
angles (deg): 79.51 89.84 89.42
Space group P1 (No. 1)
Asymmetric unit:
V1 0.000 0.000 0.000 (multiplicity 1)
V2 0.026 0.415 0.335 (multiplicity 1)
V3 0.099 0.713 0.676 (multiplicity 1)
V4 0.531 0.516 0.005 (multiplicity 1)
V5 0.568 0.917 0.334 (multiplicity 1)
V6 0.598 0.175 0.665 (multiplicity 1)
O1 0.329 0.901 0.693 (multiplicity 1)
O2 0.752 0.162 0.313 (multiplicity 1)
O3 0.760 0.831 0.980 (multiplicity 1)
O4 0.829 0.985 0.649 (multiplicity 1)
O5 0.838 0.662 0.314 (multiplicity 1)
F1 0.104 0.733 0.555 (multiplicity 1)
F2 0.130 0.385 0.223 (multiplicity 1)
F3 0.144 0.076 0.890 (multiplicity 1)
F4 0.237 0.721 0.030 (multiplicity 1)
F5 0.251 0.407 0.695 (multiplicity 1)
F6 0.268 0.050 0.362 (multiplicity 1)
F7 0.321 0.548 0.362 (multiplicity 1)
F8 0.349 0.224 0.028 (multiplicity 1)
F9 0.448 0.243 0.556 (multiplicity 1)
F10 0.463 0.583 0.886 (multiplicity 1)
F11 0.463 0.883 0.223 (multiplicity 1)
F12 0.607 0.152 0.786 (multiplicity 1)
F13 0.625 0.795 0.452 (multiplicity 1)
F14 0.637 0.492 0.121 (multiplicity 1)
F15 0.749 0.478 0.646 (multiplicity 1)
F16 0.840 0.323 0.978 (multiplicity 1)
F17 0.949 0.643 0.785 (multiplicity 1)
F18 0.962 0.291 0.452 (multiplicity 1)
F19 0.974 0.996 0.120 (multiplicity 1)

***

*b*
Entry from Materials Project: an optimized crystal structure of V6O5F19 (PBE+U).

Computed properties:
magnetization: 1.00 μB/f.u.
ρ: 2.94 g/cm3

a b c (Å): 5.293 5.493 14.764
angles (deg): 79.62 89.89 89.19
Space group P1 (No. 1)
Asymmetric unit:
V1 0.000 0.000 0.000 (multiplicity 1)
V2 0.004 0.344 0.334 (multiplicity 1)
V3 0.491 0.083 0.673 (multiplicity 1)
V4 0.516 0.472 0.003 (multiplicity 1)
V5 0.547 0.848 0.333 (multiplicity 1)
V6 0.982 0.594 0.666 (multiplicity 1)
O1 0.317 0.841 0.690 (multiplicity 1)
O2 0.733 0.090 0.312 (multiplicity 1)
O3 0.745 0.426 0.649 (multiplicity 1)
O4 0.812 0.587 0.313 (multiplicity 1)
O5 0.820 0.251 0.980 (multiplicity 1)
F1 0.106 0.313 0.222 (multiplicity 1)
F2 0.117 0.670 0.554 (multiplicity 1)
F3 0.122 0.988 0.889 (multiplicity 1)
F4 0.227 0.647 0.026 (multiplicity 1)
F5 0.235 0.326 0.697 (multiplicity 1)
F6 0.247 0.984 0.360 (multiplicity 1)
F7 0.297 0.480 0.361 (multiplicity 1)
F8 0.307 0.156 0.029 (multiplicity 1)
F9 0.440 0.815 0.222 (multiplicity 1)
F10 0.450 0.486 0.885 (multiplicity 1)
F11 0.453 0.197 0.553 (multiplicity 1)
F12 0.605 0.727 0.451 (multiplicity 1)
F13 0.617 0.411 0.119 (multiplicity 1)
F14 0.620 0.082 0.784 (multiplicity 1)
F15 0.727 0.771 0.977 (multiplicity 1)
F16 0.803 0.915 0.642 (multiplicity 1)
F17 0.943 0.221 0.451 (multiplicity 1)
F18 0.946 0.892 0.119 (multiplicity 1)
F19 0.959 0.601 0.785 (multiplicity 1)

***

Here are the energies relative to the best structure, in kJ/mol of atoms: *a* 0.0; *b* 0.6.

***

*a*
Entry from Materials Project: an optimized crystal structure of V6O5F19 (PBE+U).

Computed properties:
magnetization: 1.00 μB/f.u.
ρ: 2.82 g/cm3

a b c (Å): 5.397 5.588 14.820
angles (deg): 79.48 89.85 88.52
Space group P1 (No. 1)
Asymmetric unit:
V1 0.000 0.000 0.000 (multiplicity 1)
V2 0.019 0.319 0.331 (multiplicity 1)
V3 0.113 0.688 0.655 (multiplicity 1)
V4 0.502 0.574 0.989 (multiplicity 1)
V5 0.545 0.855 0.327 (multiplicity 1)
V6 0.618 0.232 0.667 (multiplicity 1)
O1 0.322 0.822 0.972 (multiplicity 1)
O2 0.346 0.503 0.638 (multiplicity 1)
O3 0.824 0.759 0.016 (multiplicity 1)
O4 0.841 0.080 0.350 (multiplicity 1)
O5 0.846 0.409 0.685 (multiplicity 1)
F1 0.111 0.659 0.776 (multiplicity 1)
F2 0.132 0.345 0.440 (multiplicity 1)
F3 0.153 0.996 0.106 (multiplicity 1)
F4 0.256 0.980 0.635 (multiplicity 1)
F5 0.272 0.687 0.304 (multiplicity 1)
F6 0.282 0.353 0.970 (multiplicity 1)
F7 0.322 0.164 0.305 (multiplicity 1)
F8 0.455 0.168 0.772 (multiplicity 1)
F9 0.488 0.842 0.445 (multiplicity 1)
F10 0.505 0.487 0.109 (multiplicity 1)
F11 0.611 0.256 0.547 (multiplicity 1)
F12 0.647 0.929 0.212 (multiplicity 1)
F13 0.653 0.584 0.882 (multiplicity 1)
F14 0.757 0.559 0.351 (multiplicity 1)
F15 0.762 0.930 0.686 (multiplicity 1)
F16 0.777 0.234 0.018 (multiplicity 1)
F17 0.950 0.742 0.550 (multiplicity 1)
F18 0.983 0.440 0.213 (multiplicity 1)
F19 0.998 0.097 0.880 (multiplicity 1)

***

*b*
Entry from Materials Project: an optimized crystal structure of V6O5F19 (PBE+U).

Computed properties:
magnetization: 1.00 μB/f.u.
ρ: 2.87 g/cm3

a b c (Å): 5.357 5.497 14.924
angles (deg): 79.43 89.66 87.95
Space group P1 (No. 1)
Asymmetric unit:
V1 0.000 0.000 0.000 (multiplicity 1)
V2 0.001 0.659 0.668 (multiplicity 1)
V3 0.083 0.362 0.325 (multiplicity 1)
V4 0.493 0.510 0.993 (multiplicity 1)
V5 0.518 0.195 0.662 (multiplicity 1)
V6 0.590 0.901 0.336 (multiplicity 1)
O1 0.264 0.339 0.978 (multiplicity 1)
O2 0.314 0.162 0.312 (multiplicity 1)
O3 0.815 0.085 0.354 (multiplicity 1)
O4 0.824 0.763 0.015 (multiplicity 1)
O5 0.836 0.409 0.689 (multiplicity 1)
F1 0.089 0.342 0.445 (multiplicity 1)
F2 0.124 0.993 0.110 (multiplicity 1)
F3 0.128 0.688 0.774 (multiplicity 1)
F4 0.240 0.030 0.637 (multiplicity 1)
F5 0.240 0.652 0.304 (multiplicity 1)
F6 0.308 0.830 0.969 (multiplicity 1)
F7 0.318 0.514 0.639 (multiplicity 1)
F8 0.441 0.816 0.443 (multiplicity 1)
F9 0.461 0.173 0.780 (multiplicity 1)
F10 0.469 0.521 0.111 (multiplicity 1)
F11 0.593 0.924 0.216 (multiplicity 1)
F12 0.628 0.585 0.883 (multiplicity 1)
F13 0.632 0.257 0.549 (multiplicity 1)
F14 0.731 0.888 0.689 (multiplicity 1)
F15 0.745 0.593 0.351 (multiplicity 1)
F16 0.750 0.247 0.025 (multiplicity 1)
F17 0.939 0.421 0.216 (multiplicity 1)
F18 0.956 0.767 0.550 (multiplicity 1)
F19 0.963 0.124 0.882 (multiplicity 1)

***

Here are the energies relative to the best structure, in kJ/mol of atoms: *a* 0.0; *b* 0.6.

***

*a*
Entry from Materials Project: an optimized crystal structure of V6O5F19 (PBE+U).

Computed properties:
magnetization: 1.00 μB/f.u.
ρ: 2.84 g/cm3

a b c (Å): 5.392 5.556 14.860
angles (deg): 79.36 89.48 87.10
Space group P1 (No. 1)
Asymmetric unit:
V1 0.000 0.000 0.000 (multiplicity 1)
V2 0.017 0.595 0.665 (multiplicity 1)
V3 0.420 0.740 0.334 (multiplicity 1)
V4 0.474 0.457 0.006 (multiplicity 1)
V5 0.525 0.135 0.677 (multiplicity 1)
V6 0.927 0.229 0.341 (multiplicity 1)
O1 0.167 0.241 0.980 (multiplicity 1)
O2 0.194 0.575 0.317 (multiplicity 1)
O3 0.248 0.399 0.650 (multiplicity 1)
O4 0.746 0.313 0.694 (multiplicity 1)
O5 0.757 0.996 0.358 (multiplicity 1)
F1 0.012 0.562 0.786 (multiplicity 1)
F2 0.036 0.883 0.118 (multiplicity 1)
F3 0.053 0.232 0.451 (multiplicity 1)
F4 0.166 0.881 0.644 (multiplicity 1)
F5 0.236 0.062 0.310 (multiplicity 1)
F6 0.261 0.760 0.980 (multiplicity 1)
F7 0.362 0.386 0.119 (multiplicity 1)
F8 0.365 0.060 0.783 (multiplicity 1)
F9 0.396 0.754 0.452 (multiplicity 1)
F10 0.521 0.159 0.556 (multiplicity 1)
F11 0.526 0.472 0.887 (multiplicity 1)
F12 0.555 0.823 0.224 (multiplicity 1)
F13 0.676 0.828 0.693 (multiplicity 1)
F14 0.677 0.479 0.365 (multiplicity 1)
F15 0.685 0.145 0.029 (multiplicity 1)
F16 0.745 0.619 0.030 (multiplicity 1)
F17 0.862 0.648 0.558 (multiplicity 1)
F18 0.873 0.971 0.894 (multiplicity 1)
F19 0.889 0.352 0.223 (multiplicity 1)

***

*b*
Entry from Materials Project: an optimized crystal structure of V6O5F19 (PBE+U).

Computed properties:
ρ: 2.90 g/cm3

a b c (Å): 5.305 5.549 14.780
angles (deg): 79.80 89.88 89.14
Space group P1 (No. 1)
Asymmetric unit:
V1 0.000 0.000 0.000 (multiplicity 1)
V2 0.000 0.334 0.333 (multiplicity 1)
V3 0.449 0.175 0.667 (multiplicity 1)
V4 0.454 0.497 0.001 (multiplicity 1)
V5 0.454 0.831 0.334 (multiplicity 1)
V6 0.969 0.707 0.663 (multiplicity 1)
O1 0.188 0.090 0.355 (multiplicity 1)
O2 0.188 0.756 0.021 (multiplicity 1)
O3 0.271 0.256 0.022 (multiplicity 1)
O4 0.271 0.590 0.355 (multiplicity 1)
O5 0.274 0.931 0.687 (multiplicity 1)
F1 0.066 0.123 0.884 (multiplicity 1)
F2 0.066 0.458 0.217 (multiplicity 1)
F3 0.074 0.776 0.548 (multiplicity 1)
F4 0.184 0.409 0.688 (multiplicity 1)
F5 0.394 0.956 0.217 (multiplicity 1)
F6 0.395 0.622 0.884 (multiplicity 1)
F7 0.405 0.286 0.549 (multiplicity 1)
F8 0.558 0.535 0.111 (multiplicity 1)
F9 0.560 0.870 0.444 (multiplicity 1)
F10 0.568 0.196 0.777 (multiplicity 1)
F11 0.689 0.534 0.640 (multiplicity 1)
F12 0.708 0.201 0.305 (multiplicity 1)
F13 0.708 0.868 0.972 (multiplicity 1)
F14 0.752 0.364 0.973 (multiplicity 1)
F15 0.752 0.697 0.306 (multiplicity 1)
F16 0.757 0.020 0.640 (multiplicity 1)
F17 0.900 0.369 0.444 (multiplicity 1)
F18 0.901 0.037 0.111 (multiplicity 1)
F19 0.910 0.693 0.782 (multiplicity 1)

***

Here are the energies relative to the best structure, in kJ/mol of atoms: *a* 0.5; *b* 0.0.